20
Lattice="-5.8457 2.1602 1.4739 0.7556 -2.0674 6.0268 3.5381 8.0039 2.3020" Properties=species:S:1:pos:R:3 comment="KHgF3 | the Materials Project database | r2SCAN | relaxed" e_form_ev_per_atom=-2.08 dft_energy_ry_per_atom=-1.1052 pbc="T T T"
K 2.6536 6.0030 1.7265
K 0.1085 6.0494 5.4768
K -1.6605 2.0474 4.3258
K 0.8845 2.0010 0.5755
Hg 0.3778 -1.0337 3.0134
Hg -1.1538 5.0820 1.8879
Hg -2.9228 1.0801 0.7369
Hg 2.1468 2.9683 4.1644
F -2.0485 4.0716 6.7765
F -0.8947 -1.0105 4.8886
F -2.4263 5.1052 3.7631
F -1.2725 0.0232 1.8752
F 0.4965 4.0252 3.0262
F -4.1954 1.1033 2.6121
F 0.8743 2.9915 6.0396
F -3.8176 0.0696 5.6255
F 3.0314 4.9693 4.7399
F -0.2693 7.0830 2.4634
F -2.0383 3.0811 1.3124
F 1.2623 0.9673 3.5889

***

18
Lattice="0.0000 -5.7106 0.0000 -5.7495 0.0000 1.3721 -0.0167 0.0000 -8.1011" Properties=species:S:1:pos:R:3 comment="YbZrF7 | the Materials Project database | r2SCAN | relaxed" e_form_ev_per_atom=-4.23 dft_energy_ry_per_atom=-0.9737 pbc="T T T"
Yb -3.7400 -4.0068 -4.6796
Yb -2.0262 -1.1515 -2.0494
Zr -4.7161 -4.0256 -0.7129
Zr -1.0501 -1.1703 -6.0161
F -2.8357 -5.3553 -3.3207
F -2.9304 -2.5000 -3.4082
F -5.2733 -2.4731 -4.8905
F -0.4929 -5.3284 -1.8385
F -5.3634 -5.4662 -4.8489
F -0.4028 -2.6109 -1.8801
F -2.4937 -5.4854 -5.8403
F -3.2725 -2.6301 -0.8887
F -4.4301 -3.9968 -6.8290
F -1.3361 -1.1415 0.1000
F -4.9911 -3.9892 -2.7007
F -0.7751 -1.1339 -4.0282
F -2.2925 -2.7564 -5.8547
F -3.4737 -5.6117 -0.8743

***

14
Lattice="-3.9654 -3.2666 1.1922 3.4274 -3.3659 2.1772 -0.5876 2.4117 4.6535" Properties=species:S:1:pos:R:3 comment="Ti3H3Au | the Materials Project database | r2SCAN | relaxed" e_form_ev_per_atom=-0.50 dft_energy_ry_per_atom=-1.0842 pbc="T T T"
Ti 1.2730 0.1258 4.5787
Ti -1.1258 -2.4748 1.1404
Ti -3.2678 -1.2441 3.2209
Ti 1.5668 -1.0800 2.2520
Ti 0.5879 -4.1577 2.2290
Ti -1.2852 0.3892 2.6248
H -2.4234 0.1755 4.0862
H 0.5630 0.3644 2.8710
H -1.2603 -4.1329 1.9828
H -2.1296 -1.0304 1.7595
H 2.2767 -1.3186 3.9596
H 0.7224 -2.4996 1.3867
Au -0.5628 -2.1104 4.0115
Au 0.0000 0.0000 0.0000

***

14
Lattice="-3.2359 -4.5253 0.0000 -3.2359 4.5253 0.0000 3.2359 0.0000 -11.2088" Properties=species:S:1:pos:R:3 comment="BaP4Au2 | the Materials Project database | r2SCAN | relaxed" e_form_ev_per_atom=-0.56 dft_energy_ry_per_atom=-1.7598 pbc="T T T"
Ba -0.8090 -1.1313 -2.8022
Ba -2.4269 1.1313 -8.4066
P 1.1985 0.1057 -6.6242
P 1.1985 2.1570 -10.1891
P 0.4194 0.1057 -10.1891
P -2.8165 -2.3683 -6.6242
P -4.4344 -0.1057 -4.5847
P -4.4344 -2.1570 -1.0198
P -3.6553 -0.1057 -1.0198
P -0.4194 2.3683 -4.5847
Au -0.8090 -1.1313 -6.4661
Au -0.8090 3.3940 -10.3472
Au -2.4269 1.1313 -4.7427
Au -2.4269 -3.3940 -0.8617

***

10
Lattice="7.7521 0.0000 0.0000 0.0000 7.7521 0.0000 0.0000 0.0000 3.7763" Properties=species:S:1:pos:R:3 comment="Pu2InPt2 | the Materials Project database | r2SCAN | relaxed" e_form_ev_per_atom=-1.02 dft_energy_ry_per_atom=-4.4591 pbc="T T T"
Pu 5.2173 1.3412 1.8882
Pu 1.3412 2.5348 1.8882
Pu 2.5348 6.4109 1.8882
Pu 6.4109 5.2173 1.8882
In 0.0000 0.0000 0.0000
In 3.8761 3.8761 0.0000
Pt 6.7431 2.8670 0.0000
Pt 4.8851 6.7431 0.0000
Pt 1.0091 4.8851 0.0000
Pt 2.8670 1.0091 0.0000

***

8
Lattice="4.5664 0.0000 0.0000 -2.2832 3.9546 0.0000 0.0000 0.0000 3.6261" Properties=species:S:1:pos:R:3 comment="Be3Co | the Materials Project database | r2SCAN | relaxed" e_form_ev_per_atom=-0.19 dft_energy_ry_per_atom=-0.4966 pbc="T T T"
Be 0.0000 1.3169 0.9065
Be 1.1427 3.2961 0.9065
Be -1.1427 3.2961 0.9065
Be 2.2832 2.6377 2.7196
Be 1.1405 0.6585 2.7196
Be 3.4259 0.6585 2.7196
Co 0.0000 2.6364 2.7196
Co 2.2832 1.3182 0.9065

***

8
Lattice="-0.8395 0.6019 2.6485 -0.9615 -2.3387 -1.2990 8.7369 -5.8711 4.1035" Properties=species:S:1:pos:R:3 comment="AlCuO2 | the Materials Project database | r2SCAN | relaxed" e_form_ev_per_atom=-2.32 dft_energy_ry_per_atom=-0.7132 pbc="T T T"
Al 0.0000 0.0000 0.0000
Al 4.3684 -2.9355 2.0518
Cu 5.6725 -4.7816 4.4103
Cu 1.2634 -2.8263 1.0427
O 2.7039 -3.7943 1.7193
O 7.1130 -5.7496 5.0869
O -0.1771 -1.8583 0.3662
O 4.2320 -3.8136 3.7337

***

48
Lattice="-3.1210 4.0390 5.9693 -6.2156 -8.8842 2.7616 14.1206 -6.2663 11.6228" Properties=species:S:1:pos:R:3 comment="Rb5TaTl2As4 | the Materials Project database | r2SCAN | relaxed" e_form_ev_per_atom=-0.58 dft_energy_ry_per_atom=-1.7789 pbc="T T T"
Rb -0.6883 -6.0572 12.9637
Rb 5.8441 -1.0465 10.9278
Rb 3.1901 -11.1611 14.1789
Rb 7.2192 -1.2267 14.7305
Rb -2.4353 -9.8848 5.6232
Rb 4.7772 -4.7171 15.8155
Rb 5.4723 -5.0543 7.3899
Rb -4.3653 -1.4500 7.0355
Rb 1.5938 0.0496 6.1748
Rb 3.0491 -5.0415 12.1696
Rb 1.7349 -6.0700 8.1840
Rb -2.4787 -0.7684 3.2821
Rb -1.0601 -10.0650 9.4258
Rb -0.8482 -3.4409 7.2597
Rb 7.2626 -10.3430 17.0715
Rb 9.1493 -9.6614 13.3181
Rb -1.5703 2.5450 5.7937
Rb 5.6322 -7.6706 13.0939
Rb 6.3542 -13.6564 14.5599
Rb 0.0067 -6.3944 4.5382
Ta -3.6584 -6.0010 6.4596
Ta 8.4423 -5.1105 13.8940
Ta 0.3381 -0.6262 10.0794
Ta 4.4459 -10.4852 10.2743
Tl -2.3639 -5.8840 9.7494
Tl 1.8482 -8.4349 11.0235
Tl 8.9292 -4.4290 17.1822
Tl 2.9358 -2.6766 9.3302
Tl 7.1479 -5.2274 10.6043
Tl 4.2455 -8.4337 16.4232
Tl -4.1452 -6.6825 3.1715
Tl 0.5385 -2.6778 3.9305
As 2.1182 -11.2427 10.7489
As 5.9581 -10.9331 12.2369
As -1.6214 -7.1281 7.4184
As -5.2738 -7.6802 5.5720
As 2.3178 -7.7222 14.3734
As -3.0388 -4.4856 4.5790
As 2.6658 0.1312 9.6047
As 2.4661 -3.3893 5.9803
As 0.4307 -3.0635 10.5977
As -1.1741 -0.1783 8.1168
As 10.0578 -3.4313 14.7816
As -4.6302 -4.7344 8.3472
As 6.4053 -3.9833 12.9352
As 9.4141 -6.3771 12.0065
As 4.3533 -8.0480 9.7559
As 7.8227 -6.6259 15.7746

***

9
Lattice="-0.8622 -3.0832 -6.5655 2.9191 -3.8417 5.4841 -3.9725 -1.3612 1.1610" Properties=species:S:1:pos:R:3 comment="LiNdGe | the Materials Project database | r2SCAN | relaxed" e_form_ev_per_atom=-0.79 dft_energy_ry_per_atom=-1.1771 pbc="T T T"
Li -2.1863 -1.3958 -0.9425
Li -0.4065 -5.9992 -0.2501
Li -1.3091 -1.5717 1.8526
Nd 1.6974 -2.2339 3.1889
Nd -0.5014 -1.7929 -3.8177
Nd 0.8608 -2.8982 -0.4526
Ge -0.3276 -4.2695 2.0480
Ge -1.5880 -4.0167 -1.9685
Ge 0.0000 0.0000 0.0000

***

38
Lattice="5.5490 -9.6118 0.0000 5.5487 9.6116 0.0000 0.0000 0.0000 10.4197" Properties=species:S:1:pos:R:3 comment="K7Hg31 | the Materials Project database | r2SCAN | relaxed" e_form_ev_per_atom=-0.19 dft_energy_ry_per_atom=-3.0559 pbc="T T T"
K 5.5490 9.6107 0.0000
K 5.5488 3.2081 0.0000
K 2.7546 1.5902 5.2099
K 8.3435 1.5907 5.2099
K 5.5488 6.4306 5.2099
K 5.5489 -3.2043 8.2818
K 5.5489 -3.2043 2.1379
Hg 4.0579 -0.5786 0.0000
Hg 4.0209 -5.8082 0.0000
Hg 8.5680 -3.2255 0.0000
Hg 7.0770 -5.8082 0.0000
Hg 7.0399 -0.5786 0.0000
Hg 2.5299 -3.2254 0.0000
Hg 2.9093 1.6796 8.6359
Hg 8.1884 1.6795 8.6359
Hg 5.5488 6.2524 8.6356
Hg 2.9093 1.6796 1.7838
Hg 8.1884 1.6795 1.7838
Hg 5.5488 6.2524 1.7841
Hg 8.6664 -1.4040 7.6641
Hg 2.4314 -1.4039 7.6641
Hg 5.5490 -6.8042 7.6641
Hg 8.1754 4.7203 7.1608
Hg 5.5489 0.1704 7.1610
Hg 2.9222 4.7203 7.1608
Hg 8.1754 4.7203 3.2589
Hg 2.9222 4.7203 3.2589
Hg 5.5489 0.1704 3.2588
Hg 8.6664 -1.4040 2.7556
Hg 5.5490 -6.8042 2.7556
Hg 2.4314 -1.4039 2.7556
Hg 5.5487 9.6116 6.6733
Hg 5.5488 3.2035 6.7306
Hg 5.5488 3.2035 3.6891
Hg 5.5487 9.6116 3.7464
Hg 7.1623 -2.2725 5.2099
Hg 3.9355 -2.2725 5.2099
Hg 5.5489 -5.0673 5.2099

***

9
Lattice="-4.1079 -1.7848 -2.0821 -2.3433 4.7142 0.5823 2.7104 -1.0823 -4.4200" Properties=species:S:1:pos:R:3 comment="Ta2N | the Materials Project database | r2SCAN | relaxed" e_form_ev_per_atom=-1.03 dft_energy_ry_per_atom=-2.6802 pbc="T T T"
Ta -0.8896 0.7721 -1.7935
Ta -2.5735 2.7016 -0.1250
Ta 0.7939 -1.1609 -3.4583
Ta -2.8512 1.0751 -4.1263
Ta -1.1673 -0.8544 -5.7948
Ta -2.1914 -1.7061 -3.0438
N -2.7126 1.8896 -2.1262
N -1.0281 -0.0424 -3.7936
N 2.7104 -1.0823 -4.4199

***

8
Lattice="0.7783 2.8260 4.9795 -3.6423 2.0897 -3.9692 -3.6366 -2.5308 2.0047" Properties=species:S:1:pos:R:3 comment="AgAu3 | the Materials Project database | r2SCAN | relaxed" e_above_lowest_polymorph_kj_per_mol_atoms=1.1 e_form_ev_per_atom=-0.05 dft_energy_ry_per_atom=-3.1848 pbc="T T T"
Ag -4.8962 0.4371 0.5172
Ag -1.6044 1.9479 2.4978
Au -1.9974 0.5391 0.0063
Au -3.4243 2.9881 0.5096
Au -3.8120 1.5802 -1.9712
Au -4.5032 1.8459 3.0088
Au -3.0764 -0.6032 2.5054
Au -2.6886 0.8047 4.9862